## Na2MoH2O4 (PBE with a Hubbard U)

Data for a relaxed structure of Na2MoH2O4.

Values from the calculation:
Its space-group type is Pbca, No. 61. The calculation puts the density at 2.166 g/cm³. The calculation puts the total energy at -4.874 eV per atom. The energy of formation from the pure elements comes out at -1.083 eV per atom. The value obtained for the spin magnetization is 0.222 μB/atom.

a = 8.7006 Å, b = 10.5386 Å, c = 13.9102 Å
α = 90.00°, β = 90.00°, γ = 90.00°
Positions (direct):
Na 0.1665 0.0037 0.4326
Na 0.8335 0.9963 0.5674
Na 0.3335 0.9963 0.9326
Na 0.8335 0.5037 0.0674
Na 0.6665 0.0037 0.0674
Na 0.1665 0.4963 0.9326
Na 0.6665 0.4963 0.5674
Na 0.3335 0.5037 0.4326
Na 0.2520 0.4437 0.1380
Na 0.7480 0.5563 0.8620
Na 0.2480 0.5563 0.6380
Na 0.7480 0.9437 0.3620
Na 0.7520 0.4437 0.3620
Na 0.2520 0.0563 0.6380
Na 0.7520 0.0563 0.8620
Na 0.2480 0.9437 0.1380
Mo 0.0083 0.2013 0.0249
Mo 0.9917 0.7987 0.9751
Mo 0.4917 0.7987 0.5249
Mo 0.9917 0.7013 0.4751
Mo 0.5083 0.2013 0.4751
Mo 0.0083 0.2987 0.5249
Mo 0.5083 0.2987 0.9751
Mo 0.4917 0.7013 0.0249
H 0.2231 0.3467 0.3020
H 0.7769 0.6533 0.6980
H 0.2769 0.6533 0.8020
H 0.7769 0.8467 0.1980
H 0.7231 0.3467 0.1980
H 0.2231 0.1533 0.8020
H 0.7231 0.1533 0.6980
H 0.2769 0.8467 0.3020
H 0.4647 0.1008 0.2040
H 0.5353 0.8992 0.7960
H 0.0353 0.8992 0.7040
H 0.5353 0.6008 0.2960
H 0.9647 0.1008 0.2960
H 0.4647 0.3992 0.7040
H 0.9647 0.3992 0.7960
H 0.0353 0.6008 0.2040
O 0.4503 0.3166 0.0977
O 0.5497 0.6834 0.9023
O 0.0497 0.6834 0.5977
O 0.5497 0.8166 0.4023
O 0.9503 0.3166 0.4023
O 0.4503 0.1834 0.5977
O 0.9503 0.1834 0.9023
O 0.0497 0.8166 0.0977
O 0.1804 0.1091 0.0420
O 0.8196 0.8909 0.9580
O 0.3196 0.8909 0.5420
O 0.8196 0.6091 0.4580
O 0.6804 0.1091 0.4580
O 0.1804 0.3909 0.5420
O 0.6804 0.3909 0.9580
O 0.3196 0.6091 0.0420
O 0.0466 0.3690 0.0509
O 0.9534 0.6310 0.9491
O 0.4534 0.6310 0.5509
O 0.9534 0.8690 0.4491
O 0.5466 0.3690 0.4491
O 0.0466 0.1310 0.5509
O 0.5466 0.1310 0.9491
O 0.4534 0.8690 0.0509
O 0.3620 0.1455 0.3952
O 0.6380 0.8545 0.6048
O 0.1380 0.8545 0.8952
O 0.6380 0.6455 0.1048
O 0.8620 0.1455 0.1048
O 0.3620 0.3545 0.8952
O 0.8620 0.3545 0.6048
O 0.1380 0.6455 0.3952


## Li5Mn8B8O24 (PBE with a Hubbard U)

Data for a relaxed structure of Li5Mn8B8O24.

Values from the calculation:
Its space-group type is P1, No. 1. The calculation puts the density at 3.126 g/cm³. The calculation puts the total energy at -7.442 eV per atom. The energy of formation from the pure elements comes out at -2.438 eV per atom. For the relative energy among the computed polymorphs, the calculation gives 8 meV per atom. The value obtained for the spin magnetization is 0.822 μB/atom.

a = 5.3181 Å, b = 9.2311 Å, c = 11.4170 Å
α = 112.95°, β = 102.74°, γ = 89.06°
Positions (direct):
Li 0.9707 0.9654 0.1021
Li 0.7237 0.7490 0.3389
Li 0.5104 0.4830 0.8287
Li 0.2158 0.2551 0.3397
Li 0.0152 0.9809 0.8288
Mn 0.9878 0.6403 0.1232
Mn 0.7516 0.4394 0.3739
Mn 0.7204 0.0699 0.6196
Mn 0.4768 0.1568 0.1185
Mn 0.5319 0.8440 0.8694
Mn 0.2429 0.9374 0.3732
Mn 0.2267 0.5687 0.6199
Mn 0.0260 0.3399 0.8698
B 0.9614 0.3051 0.1193
B 0.7470 0.1113 0.3706
B 0.7511 0.3931 0.6293
B 0.4833 0.8267 0.1320
B 0.5186 0.1810 0.8648
B 0.2647 0.6096 0.3788
B 0.2420 0.8926 0.6258
B 0.0308 0.6814 0.8724
O 0.9932 0.1041 0.3554
O 0.9990 0.9190 0.6424
O 0.7466 0.3433 0.1717
O 0.8742 0.4647 0.5682
O 0.8970 0.2866 0.6744
O 0.6394 0.7202 0.1564
O 0.5632 0.9226 0.0747
O 0.9307 0.8246 0.8918
O 0.9233 0.5733 0.9096
O 0.6511 0.0170 0.4269
O 0.5745 0.2069 0.3284
O 0.7495 0.1411 0.8180
O 0.5155 0.6135 0.3754
O 0.5089 0.4208 0.6444
O 0.2419 0.8464 0.1662
O 0.3630 0.9754 0.5717
O 0.3860 0.7837 0.6655
O 0.0972 0.1812 0.1293
O 0.0350 0.3986 0.0594
O 0.4037 0.3123 0.8648
O 0.4211 0.0795 0.9111
O 0.1635 0.5033 0.4240
O 0.0914 0.7035 0.3359
O 0.2506 0.6423 0.8184


## Li9Mn2P4HO18 (PBE with a Hubbard U)

Data for a relaxed structure of Li9Mn2P4HO18.

Values from the calculation:
Its space-group type is Ima2, No. 46. The calculation puts the density at 2.774 g/cm³. The calculation puts the total energy at -6.458 eV per atom. The energy of formation from the pure elements comes out at -2.520 eV per atom. The value obtained for the spin magnetization is 0.235 μB/atom.

a = 10.7314 Å, b = 10.7314 Å, c = 10.7314 Å
α = 143.31°, β = 96.94°, γ = 94.43°
Positions (direct):
Li 0.4775 0.2360 0.2214
Li 0.4775 0.7560 0.7414
Li 0.7396 0.1173 0.1223
Li 0.5016 0.3810 0.6205
Li 0.2617 0.1251 0.6365
Li 0.2290 0.2290 0.0000
Li 0.9935 0.4935 0.5000
Li 0.5115 0.5115 0.0000
Li 0.7499 0.7499 0.0000
Li 0.9935 0.9935 0.0000
Li 0.2290 0.7290 0.5000
Li 0.5115 0.0115 0.5000
Li 0.7499 0.2499 0.5000
Li 0.4886 0.6251 0.3635
Li 0.9950 0.6173 0.8777
Li 0.7605 0.8810 0.3795
Li 0.0146 0.7360 0.2586
Li 0.0146 0.2560 0.7786
Mn 0.2523 0.4909 0.7451
Mn 0.7458 0.9909 0.7386
Mn 0.7458 0.5072 0.2549
Mn 0.2523 0.0072 0.2614
P 0.5303 0.8923 0.1380
P 0.7440 0.6077 0.6363
P 0.0167 0.8844 0.6322
P 0.2525 0.6121 0.1404
P 0.2522 0.3844 0.3678
P 0.4718 0.1121 0.8596
P 0.7542 0.3923 0.8620
P 0.9714 0.1077 0.3637
H 0.9066 0.3118 0.0948
H 0.2171 0.8118 0.9052
O 0.3360 0.4888 0.3472
O 0.3482 0.0087 0.8396
O 0.2947 0.1777 0.2396
O 0.5520 0.9418 0.7309
O 0.2947 0.5551 0.6170
O 0.5520 0.3211 0.1102
O 0.3068 0.2438 0.5629
O 0.8124 0.2558 0.0566
O 0.5597 0.9819 0.0778
O 0.5949 0.5176 0.5773
O 0.7797 0.8556 0.8072
O 0.4547 0.0275 0.3103
O 0.4547 0.6444 0.9272
O 0.7797 0.4725 0.4241
O 0.0504 0.8269 0.7234
O 0.4033 0.6727 0.2306
O 0.6565 0.9118 0.2447
O 0.8333 0.5899 0.7434
O 0.6671 0.4118 0.7553
O 0.8465 0.0899 0.2566
O 0.1035 0.3269 0.2766
O 0.4421 0.1727 0.7694
O 0.7172 0.1444 0.6897
O 0.0485 0.9725 0.1928
O 0.7172 0.5275 0.0728
O 0.0485 0.3556 0.5759
O 0.9041 0.4819 0.9222
O 0.9402 0.0176 0.4227
O 0.1992 0.7558 0.9434
O 0.6809 0.7438 0.4371
O 0.2109 0.8211 0.2691
O 0.2109 0.4418 0.8898
O 0.9381 0.0551 0.7604
O 0.9381 0.6777 0.3830
O 0.1417 0.9888 0.6528
O 0.1691 0.5087 0.1604


## KLaV4O12 (PBE with a Hubbard U)

Data for a relaxed structure of KLaV4O12.

Values from the calculation:
Its space-group type is Amm2, No. 38. The calculation puts the density at 3.775 g/cm³. The calculation puts the total energy at -7.359 eV per atom. The energy of formation from the pure elements comes out at -2.542 eV per atom. The value obtained for the spin magnetization is 0.000 μB/atom.

a = 5.9843 Å, b = 5.9843 Å, c = 7.2876 Å
α = 90.00°, β = 90.00°, γ = 75.26°
Positions (direct):
K 0.0289 0.0289 0.5000
La 0.5495 0.5495 0.0000
V 0.5364 0.0378 0.7506
V 0.5364 0.0378 0.2494
V 0.0378 0.5364 0.2494
V 0.0378 0.5364 0.7506
O 0.7179 0.2066 0.7724
O 0.2066 0.7179 0.7724
O 0.2066 0.7179 0.2276
O 0.7179 0.2066 0.2276
O 0.7257 0.7257 0.7499
O 0.2560 0.2560 0.7627
O 0.2560 0.2560 0.2373
O 0.7257 0.7257 0.2501
O 0.4844 0.9656 0.0000
O 0.5019 0.0096 0.5000
O 0.9656 0.4844 0.0000
O 0.0096 0.5019 0.5000


## Li9Mn2Co5O16 (PBE with a Hubbard U)

Data for a relaxed structure of Li9Mn2Co5O16.

Values from the calculation:
Its space-group type is P1, No. 1. The calculation puts the density at 4.228 g/cm³. The calculation puts the total energy at -5.791 eV per atom. The energy of formation from the pure elements comes out at -1.801 eV per atom. For the relative energy among the computed polymorphs, the calculation gives 64 meV per atom. The value obtained for the spin magnetization is 0.500 μB/atom.

a = 5.9386 Å, b = 7.8690 Å, c = 6.4502 Å
α = 85.59°, β = 76.76°, γ = 75.44°
Positions (direct):
Li 0.9511 0.3881 0.8678
Li 0.1961 0.8679 0.3891
Li 0.4384 0.3808 0.8695
Li 0.0617 0.6176 0.1244
Li 0.3122 0.1287 0.6200
Li 0.5600 0.6263 0.1224
Li 0.6805 0.8647 0.3904
Li 0.8088 0.1217 0.6184
Li 0.3799 0.7490 0.7461
Mn 0.9956 0.9955 0.0017
Mn 0.4923 0.9954 0.0026
Co 0.2596 0.5087 0.4982
Co 0.7546 0.5031 0.4969
Co 0.6188 0.2517 0.2518
Co 0.8766 0.7487 0.7493
Co 0.1220 0.2504 0.2509
O 0.6975 0.1684 0.9596
O 0.9876 0.6870 0.4544
O 0.2275 0.1839 0.9508
O 0.8544 0.4265 0.2011
O 0.0644 0.9217 0.7107
O 0.3533 0.4330 0.2015
O 0.4916 0.6717 0.4417
O 0.6058 0.9316 0.7092
O 0.1455 0.5723 0.7935
O 0.3901 0.0674 0.3004
O 0.6925 0.5796 0.7847
O 0.2874 0.8373 0.0573
O 0.5208 0.3190 0.5456
O 0.7638 0.8115 0.0485
O 0.8865 0.0712 0.2982
O 0.0231 0.3198 0.5431


## Cs3Li2FeMo4O16 (PBE with a Hubbard U)

Data for a relaxed structure of Cs3Li2FeMo4O16.

Values from the calculation:
Its space-group type is I-42d, No. 122. The calculation puts the density at 3.743 g/cm³. The calculation puts the total energy at -6.424 eV per atom. The energy of formation from the pure elements comes out at -2.136 eV per atom. The value obtained for the spin magnetization is 0.192 μB/atom.

a = 10.8503 Å, b = 10.8503 Å, c = 10.8503 Å
α = 109.53°, β = 109.53°, γ = 109.35°
Positions (direct):
Cs 0.3750 0.7606 0.8856
Cs 0.8750 0.4894 0.1144
Cs 0.2394 0.1250 0.6144
Cs 0.5106 0.6250 0.3856
Cs 0.0000 0.0000 0.0000
Cs 0.7500 0.2500 0.5000
Li 0.3750 0.2492 0.3742
Li 0.8750 0.0008 0.6258
Li 0.7508 0.1250 0.1258
Li 0.9992 0.6250 0.8742
Fe 0.5000 0.5000 0.0000
Fe 0.2500 0.7500 0.5000
Mo 0.1258 0.3779 0.4466
Mo 0.9313 0.6793 0.5534
Mo 0.6221 0.0687 0.7479
Mo 0.8187 0.8721 0.2479
Mo 0.3207 0.8742 0.2521
Mo 0.6242 0.5707 0.7521
Mo 0.4293 0.1813 0.0534
Mo 0.1279 0.3758 0.9466
O 0.3765 0.2474 0.1905
O 0.0569 0.1860 0.8095
O 0.7526 0.9431 0.1291
O 0.6931 0.0026 0.6291
O 0.8140 0.6235 0.8709
O 0.3735 0.0640 0.3709
O 0.9360 0.3069 0.3095
O 0.9974 0.6265 0.6905
O 0.1965 0.2596 0.3785
O 0.8811 0.8180 0.6215
O 0.7404 0.1189 0.9369
O 0.8689 0.9904 0.4369
O 0.1820 0.8035 0.0631
O 0.5535 0.4320 0.5631
O 0.5680 0.1311 0.1215
O 0.0096 0.4465 0.8785
O 0.7668 0.5184 0.3926
O 0.1258 0.3742 0.6074
O 0.4816 0.8742 0.2484
O 0.6242 0.7316 0.7484
O 0.6258 0.2332 0.7516
O 0.9832 0.8758 0.2516
O 0.1242 0.3758 0.1074
O 0.2684 0.0168 0.8926
O 0.2520 0.5790 0.5048
O 0.0743 0.7473 0.4952
O 0.4210 0.9257 0.6730
O 0.6757 0.6710 0.1730
O 0.2527 0.7480 0.3270
O 0.4980 0.5027 0.8270
O 0.4973 0.3243 0.9952
O 0.3290 0.5020 0.0048


Q: What is the formula in the fourth record?
A: KLaV4O12


Q: Which value of energy of formation from the pure elements does entry 2 give?
A: -2.438 eV per atom